1.
## Tm3Ge4 (GGA-PBE)

Data for crystalline Tm3Ge4 at its relaxed geometry.

POSCAR file:
```
Tm3Ge4
1.0
2.009 -5.294 0.000
2.009 5.294 0.000
0.000 0.000 14.199
Tm Ge
6 8
Cartesian
2.009 4.782 10.649 Tm
2.009 -1.781 1.380 Tm
2.009 -4.782 3.550 Tm
2.009 1.781 12.820 Tm
2.009 -1.781 5.720 Tm
2.009 1.781 8.479 Tm
2.009 -1.280 8.639 Ge
0.000 0.000 7.100 Ge
2.009 -2.939 10.649 Ge
0.000 0.000 0.000 Ge
2.009 2.939 3.550 Ge
2.009 1.280 1.539 Ge
2.009 1.280 5.560 Ge
2.009 -1.280 12.660 Ge
```

Calculated values
As for the space-group type: Cmcm, No. 63. As for the density: 8.77 g/cm3. The value obtained for the volume is 302.1 Å³ per cell. As for the formation enthalpy at 0 K: -0.75 eV/atom.

=====

2.
## Tm11Ge10 (GGA-PBE)

Data for crystalline Tm11Ge10 at its relaxed geometry.

POSCAR file:
```
Tm11Ge10
1.0
-5.404 5.404 8.090
5.404 -5.404 8.090
5.404 5.404 -8.090
Tm Ge
22 20
Cartesian
0.000 2.729 3.074 Tm
3.493 -3.493 8.090 Tm
5.404 2.675 5.016 Tm
3.500 0.000 9.753 Tm
0.000 3.500 9.753 Tm
5.404 1.904 1.663 Tm
5.404 -2.675 5.016 Tm
0.000 0.000 5.495 Tm
0.000 8.079 3.074 Tm
-2.675 5.404 5.016 Tm
0.000 3.500 6.427 Tm
1.904 5.404 -1.663 Tm
1.904 5.404 1.663 Tm
0.000 0.000 10.684 Tm
1.911 1.911 0.000 Tm
2.729 0.000 3.074 Tm
2.675 5.404 5.016 Tm
3.493 3.493 8.090 Tm
5.404 1.904 -1.663 Tm
8.079 0.000 3.074 Tm
3.500 0.000 6.427 Tm
-3.493 3.493 8.090 Tm
2.268 2.268 5.166 Ge
5.404 0.000 4.045 Ge
2.268 -2.268 11.013 Ge
-2.268 2.268 11.013 Ge
2.268 -2.268 5.166 Ge
3.136 3.136 -2.923 Ge
6.907 0.000 0.000 Ge
3.902 0.000 0.000 Ge
0.000 0.000 1.858 Ge
1.308 1.308 8.090 Ge
4.097 4.097 0.000 Ge
0.000 0.000 14.322 Ge
0.000 3.902 0.000 Ge
0.000 5.404 4.045 Ge
2.268 2.268 11.013 Ge
1.308 -1.308 8.090 Ge
-2.268 2.268 5.166 Ge
-1.308 1.308 8.090 Ge
0.000 6.907 0.000 Ge
3.136 3.136 2.923 Ge
```

Calculated values
As for the space-group type: I4/mmm, No. 139. As for the density: 9.08 g/cm3. The value obtained for the volume is 945.0 Å³ per cell. As for the formation enthalpy at 0 K: -0.83 eV/atom.

=====

3.
## TmZnGe (GGA-PBE)

Data for crystalline TmZnGe at its relaxed geometry.

POSCAR file:
```
TmZnGe
1.0
-2.639 3.091 1.170
-0.523 -3.914 1.515
9.131 3.337 11.771
Ge Zn Tm
4 4 4
Cartesian
1.618 2.054 5.863 Ge
-0.919 1.127 2.593 Ge
6.888 1.388 11.864 Ge
4.351 0.460 8.594 Ge
5.827 3.592 11.291 Zn
4.002 2.925 8.937 Zn
0.142 -1.078 3.167 Zn
1.967 -0.411 5.520 Zn
4.565 1.669 5.886 Tm
2.283 0.834 2.943 Tm
6.848 2.503 8.829 Tm
0.000 0.000 0.000 Tm
```

Calculated values
As for the space-group type: P6_3/mmc, No. 194. As for the density: 8.62 g/cm3. The value obtained for the volume is 236.5 Å³ per cell. As for the formation enthalpy at 0 K: -0.63 eV/atom.

=====

4.
## U2Ge3 (GGA-PBE)

Data for crystalline U2Ge3 at its relaxed geometry.

POSCAR file:
```
U2Ge3
1.0
-2.255 -3.908 0.000
-2.259 3.911 0.000
0.000 0.000 -6.112
Ge U
3 2
Cartesian
-2.258 -1.302 -1.528 Ge
-2.256 -1.302 -4.584 Ge
-2.257 1.304 -4.584 Ge
-4.514 0.002 -2.868 U
-4.514 0.002 -0.189 U
```

Calculated values
Its total moment is 4.045 Bohr magnetons per cell. As for the space-group type: P-6m2, No. 187. As for the density: 10.68 g/cm3. The value obtained for the volume is 107.9 Å³ per cell. As for the formation enthalpy at 0 K: -0.03 eV/atom.

=====

5.
## U3Ge (GGA-PBE)

Data for crystalline U3Ge at its relaxed geometry.

POSCAR file:
```
U3Ge
1.0
-3.113 -2.538 1.526
-0.594 -1.634 -3.929
2.901 -3.058 0.833
U Ge
3 1
Cartesian
-1.853 -2.086 -1.202 U
1.154 -2.346 -1.548 U
-0.106 -2.798 1.180 U
0.000 0.000 0.000 Ge
```

Calculated values
As for the space-group type: Pm-3m, No. 221. As for the density: 16.47 g/cm3. The energy above the lowest structure with this stoichiometry comes out at 0.0 kJ per mole of atoms. The value obtained for the volume is 79.3 Å³ per cell. As for the formation enthalpy at 0 K: -0.16 eV/atom.

=====

6.
## U5Ge3 (GGA-PBE)

Data for crystalline U5Ge3 at its relaxed geometry.

POSCAR file:
```
U5Ge3
1.0
-3.212 0.114 7.928
-1.748 -6.541 -5.230
4.420 -2.644 1.829
Ge U
6 10
Cartesian
-0.845 -0.592 5.271 Ge
2.053 -1.938 4.486 Ge
0.303 -5.885 3.010 Ge
0.044 -4.632 -2.718 Ge
2.628 -4.552 -0.683 Ge
-0.844 -3.186 1.517 Ge
0.854 -1.895 7.447 U
-0.514 -3.426 4.457 U
-2.696 -5.585 2.525 U
0.354 -0.634 2.311 U
-2.724 -2.104 3.542 U
0.696 -2.190 -0.765 U
-2.236 -4.323 -0.844 U
1.975 -6.995 -2.636 U
2.155 -3.485 2.002 U
-0.026 -5.644 0.071 U
```

Calculated values
Its total moment is 0.747 Bohr magnetons per cell. As for the space-group type: P6_3/mcm, No. 193. As for the density: 13.50 g/cm3. The value obtained for the volume is 346.4 Å³ per cell. As for the formation enthalpy at 0 K: 0.02 eV/atom.

=====

7.
## U3Ge (GGA-PBE)

Data for crystalline U3Ge at its relaxed geometry.

POSCAR file:
```
U3Ge
1.0
2.186 4.696 -0.458
-2.248 3.161 3.464
2.137 -4.706 0.573
U Ge
3 1
Cartesian
-0.031 3.929 1.503 U
2.146 1.959 0.809 U
-0.071 1.192 2.770 U
0.000 0.000 0.000 Ge
```

Calculated values
As for the space-group type: I4/mmm, No. 139. As for the density: 16.61 g/cm3. The energy above the lowest structure with this stoichiometry comes out at 2.1 kJ per mole of atoms. The value obtained for the volume is 78.6 Å³ per cell. As for the formation enthalpy at 0 K: -0.14 eV/atom.

=====

8.
## UGe3 (GGA-PBE)

Data for crystalline UGe3 at its relaxed geometry.

POSCAR file:
```
UGe3
1.0
4.206 0.000 0.000
0.000 4.206 0.000
0.000 0.000 4.206
Ge U
3 1
Cartesian
0.000 2.103 2.103 Ge
2.103 0.000 2.103 Ge
2.103 2.103 0.000 Ge
0.000 0.000 0.000 U
```

Calculated values
As for the space-group type: Pm-3m, No. 221. As for the density: 10.18 g/cm3. The value obtained for the volume is 74.4 Å³ per cell. As for the formation enthalpy at 0 K: -0.32 eV/atom.

=====

9.
## V3Ge (GGA-PBE)

Data for crystalline V3Ge at its relaxed geometry.

POSCAR file:
```
V3Ge
1.0
4.766 0.000 0.000
0.000 4.766 0.000
0.000 0.000 4.766
V Ge
6 2
Cartesian
1.192 0.000 2.383 V
0.000 2.383 3.575 V
2.383 1.192 0.000 V
3.575 0.000 2.383 V
0.000 2.383 1.192 V
2.383 3.575 0.000 V
0.000 0.000 0.000 Ge
2.383 2.383 2.383 Ge
```

Calculated values
As for the space-group type: Pm-3n, No. 223. As for the density: 6.92 g/cm3. The value obtained for the volume is 108.3 Å³ per cell. As for the formation enthalpy at 0 K: -0.34 eV/atom.

=====

10.
## VGe2 (GGA-PBE)

Data for crystalline VGe2 at its relaxed geometry.

POSCAR file:
```
VGe2
1.0
4.531 1.612 -0.215
-1.429 -3.559 -2.909
-1.809 4.474 -4.587
V Ge
3 6
Cartesian
-0.714 -1.780 -1.454 V
1.662 2.297 -1.636 V
0.345 2.009 -4.619 V
-1.649 0.279 -5.521 Ge
2.222 0.455 -3.654 Ge
2.339 3.739 -3.718 Ge
1.263 -0.056 -0.552 Ge
-0.326 0.580 -2.527 Ge
1.839 -1.892 -2.571 Ge
```

Calculated values
As for the space-group type: P6_222, No. 180. As for the density: 7.32 g/cm3. The value obtained for the volume is 133.6 Å³ per cell. As for the formation enthalpy at 0 K: -0.17 eV/atom.

=====

11.
## V11Ge8 (GGA-PBE)

Data for crystalline V11Ge8 at its relaxed geometry.

POSCAR file:
```
V11Ge8
1.0
4.504 1.622 1.420
5.362 -5.177 -11.098
-2.571 13.908 -7.730
Ge V
32 44
Cartesian
2.247 7.816 -7.203 Ge
1.439 3.560 -4.241 Ge
4.211 9.107 -14.909 Ge
3.538 5.700 -4.565 Ge
0.870 0.448 -3.197 Ge
4.390 -0.489 -8.978 Ge
0.103 7.290 -4.263 Ge
2.053 10.450 -5.279 Ge
6.425 9.905 -14.211 Ge
0.274 11.579 -9.706 Ge
7.192 3.062 -13.145 Ge
5.047 2.537 -10.205 Ge
2.905 10.842 -8.431 Ge
3.757 4.652 -12.843 Ge
7.021 -1.227 -7.703 Ge
5.714 -0.855 -3.980 Ge
1.581 11.207 -13.428 Ge
1.239 14.008 -6.760 Ge
4.890 6.168 -9.390 Ge
2.795 4.565 -0.912 Ge
6.056 -3.656 -10.648 Ge
4.461 8.613 -6.505 Ge
4.499 5.787 -16.496 Ge
3.084 1.245 -2.500 Ge
2.838 0.994 -5.749 Ge
2.833 1.740 -10.903 Ge
5.445 2.147 -6.556 Ge
5.856 6.793 -13.168 Ge
2.404 4.185 -8.019 Ge
1.850 8.205 -10.852 Ge
4.457 9.359 -11.660 Ge
5.242 -0.097 -12.130 Ge
3.131 4.286 -10.441 V
0.982 2.728 -1.842 V
8.083 -3.222 -8.792 V
8.645 -0.433 -9.524 V
6.030 4.711 -11.341 V
6.312 7.625 -15.566 V
3.402 3.469 -5.826 V
2.679 8.082 -4.562 V
5.577 4.252 -5.140 V
0.168 8.853 -6.256 V
3.361 1.777 -8.302 V
7.127 1.499 -11.152 V
6.471 -1.216 -10.209 V
3.005 -0.930 -4.080 V
2.217 13.420 -9.194 V
7.185 0.425 -5.733 V
3.945 8.050 -17.323 V
2.378 8.812 -13.221 V
0.824 11.568 -7.199 V
1.602 5.760 -2.867 V
3.448 3.785 -15.249 V
6.457 1.119 -8.593 V
3.785 3.660 -3.018 V
3.892 6.884 -11.583 V
3.349 2.303 -0.085 V
1.265 5.641 -6.068 V
1.718 6.101 -12.268 V
3.847 6.568 -2.160 V
2.355 10.736 -10.968 V
5.221 4.091 -8.067 V
4.917 1.540 -4.188 V
5.077 -3.068 -8.215 V
3.934 8.575 -9.107 V
2.074 6.262 -9.342 V
-0.788 13.574 -8.616 V
5.692 4.593 -14.541 V
4.940 -0.383 -6.440 V
4.615 2.270 -12.847 V
4.163 6.066 -6.967 V
3.510 6.692 -14.390 V
0.110 9.928 -11.676 V
-1.351 10.785 -7.884 V
0.838 9.233 -8.815 V
4.290 11.282 -13.328 V
```

Calculated values
Its total moment is 0.038 Bohr magnetons per cell. As for the space-group type: Pnma, No. 62. As for the density: 7.05 g/cm3. The value obtained for the volume is 1075.9 Å³ per cell. As for the formation enthalpy at 0 K: -0.35 eV/atom.

=====

12.
## VGe3 (GGA-PBE)

Data for crystalline VGe3 at its relaxed geometry.

POSCAR file:
```
VGe3
1.0
5.098 0.000 0.000
0.000 5.098 0.000
0.000 0.000 5.098
Ge V
6 2
Cartesian
2.549 3.824 0.000 Ge
3.824 0.000 2.549 Ge
0.000 2.549 1.275 Ge
0.000 2.549 3.824 Ge
2.549 1.275 0.000 Ge
1.275 0.000 2.549 Ge
2.549 2.549 2.549 V
0.000 0.000 0.000 V
```

Calculated values
Its total moment is 3.173 Bohr magnetons per cell. As for the space-group type: Pm-3n, No. 223. As for the density: 6.74 g/cm3. The value obtained for the volume is 132.5 Å³ per cell. As for the formation enthalpy at 0 K: 0.22 eV/atom.

=====

Look up the density of the fourth one. 10.68 g/cm3

=====

What is the density in the third record? 8.62 g/cm3